(1)
CeBiS2O: relaxed, PBE-GGA.

Cell: 4.016 4.016 13.615 Å, 90.00 90.00 90.00°
Atoms (fractional coordinates):
Ce 0.500 0.000 0.591
Ce 0.000 0.500 0.409
Bi 0.500 0.000 0.124
Bi 0.000 0.500 0.876
S 0.500 0.000 0.315
S 0.500 0.000 0.881
S 0.000 0.500 0.685
S 0.000 0.500 0.119
O 0.000 0.000 0.500
O 0.500 0.500 0.500

## Properties
The magnetic moment comes out at 0.863 μB/f.u. As for the space-group type: P4/nmm, No. 129. Its formation energy is -2041 meV per atom. The raw total energy is -6.31 eV per atom.

=====

(2)
Sr2CaI6: relaxed, PBE-GGA.

Cell: 8.861 8.861 11.516 Å, 86.57 86.57 121.65°
Atoms (fractional coordinates):
Sr 0.299 0.618 0.541
Sr 0.382 0.701 0.959
Sr 0.618 0.299 0.041
Sr 0.701 0.382 0.459
Ca 0.046 0.954 0.250
Ca 0.954 0.046 0.750
I 0.295 0.364 0.144
I 0.953 0.560 0.196
I 0.025 0.771 0.539
I 0.229 0.975 0.961
I 0.440 0.047 0.304
I 0.636 0.705 0.356
I 0.364 0.295 0.644
I 0.560 0.953 0.696
I 0.771 0.025 0.039
I 0.975 0.229 0.461
I 0.047 0.440 0.804
I 0.705 0.636 0.856

## Properties
The magnetic moment comes out at 0.000 μB/f.u. As for the space-group type: C2/c, No. 15. The energy above the most stable polymorph in this dataset is 74.6 meV per atom. Its formation energy is -1844 meV per atom. The raw total energy is -3.21 eV per atom.

=====

(3)
Li5SbS4: relaxed, PBE-GGA.

Cell: 6.204 15.089 17.610 Å, 90.00 90.00 90.00°
Atoms (fractional coordinates):
Li 0.108 0.080 0.413
Li 0.392 0.080 0.913
Li 0.671 0.144 0.740
Li 0.829 0.144 0.240
Li 0.658 0.168 0.496
Li 0.842 0.168 0.996
Li 0.468 0.222 0.334
Li 0.032 0.222 0.834
Li 0.530 0.217 0.123
Li 0.970 0.217 0.623
Li 0.030 0.283 0.123
Li 0.470 0.283 0.623
Li 0.968 0.278 0.334
Li 0.532 0.278 0.834
Li 0.158 0.332 0.496
Li 0.342 0.332 0.996
Li 0.329 0.356 0.240
Li 0.171 0.356 0.740
Li 0.892 0.420 0.913
Li 0.608 0.420 0.413
Li 0.108 0.580 0.087
Li 0.392 0.580 0.587
Li 0.829 0.644 0.260
Li 0.671 0.644 0.760
Li 0.658 0.668 0.004
Li 0.842 0.668 0.504
Li 0.468 0.722 0.166
Li 0.032 0.722 0.666
Li 0.530 0.717 0.377
Li 0.970 0.717 0.877
Li 0.030 0.783 0.377
Li 0.470 0.783 0.877
Li 0.532 0.778 0.666
Li 0.968 0.778 0.166
Li 0.158 0.832 0.004
Li 0.342 0.832 0.504
Li 0.329 0.856 0.260
Li 0.171 0.856 0.760
Li 0.892 0.920 0.587
Li 0.608 0.920 0.087
Sb 0.163 0.065 0.125
Sb 0.337 0.065 0.625
Sb 0.663 0.435 0.125
Sb 0.837 0.435 0.625
Sb 0.337 0.565 0.875
Sb 0.163 0.565 0.375
Sb 0.663 0.935 0.375
Sb 0.837 0.935 0.875
S 0.757 0.074 0.116
S 0.743 0.074 0.616
S 0.262 0.170 0.519
S 0.238 0.170 0.019
S 0.219 0.185 0.222
S 0.281 0.185 0.722
S 0.780 0.146 0.372
S 0.720 0.146 0.872
S 0.220 0.354 0.872
S 0.280 0.354 0.372
S 0.719 0.315 0.222
S 0.781 0.315 0.722
S 0.738 0.330 0.019
S 0.762 0.330 0.519
S 0.257 0.426 0.116
S 0.243 0.426 0.616
S 0.743 0.574 0.884
S 0.757 0.574 0.384
S 0.262 0.670 0.981
S 0.238 0.670 0.481
S 0.219 0.685 0.278
S 0.281 0.685 0.778
S 0.780 0.646 0.128
S 0.720 0.646 0.628
S 0.220 0.854 0.628
S 0.280 0.854 0.128
S 0.719 0.815 0.278
S 0.781 0.815 0.778
S 0.738 0.830 0.481
S 0.762 0.830 0.981
S 0.257 0.926 0.384
S 0.243 0.926 0.884

## Properties
The magnetic moment comes out at 0.000 μB/f.u. As for the space-group type: Pbca, No. 61. The energy above the most stable polymorph in this dataset is 42.3 meV per atom. Its formation energy is -1178 meV per atom. The raw total energy is -4.00 eV per atom.

=====

What is the magnetic moment in the third record?
0.000 μB/f.u.